# 1
MgAl2O4 | PBE | optimized geometry

Calculated values
* formation energy from the elements: -3.343 eV per atom
* energy relative to the lowest polymorph listed for this composition: 31 meV per atom
* V: 9.73 A^3/atom
* energy with MP2020 corrections: -7.47 eV per atom
* ρ: 3.5 g/cm³

Structure (POSCAR):
```
MgAl2O4
1.0
5.016 -2.880 0.000
5.016 2.880 0.000
-3.461 0.000 32.997
Mg Al O
14 28 56
Cartesian
0.000 0.000 0.000
-0.097 0.000 3.460
-1.793 0.000 25.346
-0.107 0.000 14.177
-0.123 0.000 17.764
-0.098 0.000 28.260
1.567 0.000 20.638
3.254 0.000 9.430
3.253 0.000 12.987
4.956 0.000 1.763
3.262 0.000 23.544
6.615 0.000 8.272
4.876 0.000 30.053
6.613 0.000 18.844
2.454 1.439 1.742
-0.085 0.000 8.869
0.670 1.396 25.326
2.405 1.435 15.924
1.566 0.000 6.487
4.122 1.462 6.478
-0.142 0.000 23.045
2.330 1.482 30.035
-0.227 0.000 31.815
3.247 0.000 4.013
4.040 1.408 20.623
5.764 1.436 11.212
2.454 -1.439 1.742
3.253 0.000 18.277
0.670 -1.396 25.326
3.125 0.000 27.139
2.405 -1.435 15.924
4.912 0.000 15.914
3.172 0.000 32.468
6.628 0.000 4.694
4.122 -1.462 6.478
6.592 0.000 13.578
2.330 -1.482 30.035
4.040 -1.408 20.623
6.483 0.000 22.464
5.764 -1.436 11.212
8.265 0.000 11.212
6.531 0.000 27.747
0.602 1.393 21.863
-0.076 0.000 5.471
-1.777 0.000 21.851
2.465 1.355 5.343
2.327 1.590 12.280
-1.951 0.000 28.955
0.850 1.556 28.918
-0.094 0.000 12.165
-0.226 0.000 19.730
3.926 1.317 2.936
1.763 0.000 2.863
2.570 1.320 19.421
2.250 1.500 26.562
1.400 0.000 10.049
4.184 1.597 10.048
-0.041 0.000 26.351
3.226 0.000 0.634
1.733 0.000 17.008
4.001 1.291 16.985
5.684 1.593 7.575
5.974 1.316 0.660
1.409 0.000 24.235
3.271 0.000 7.387
4.208 1.554 24.202
3.903 1.375 31.270
3.235 0.000 14.913
1.574 0.000 31.243
5.844 1.280 14.759
0.602 -1.393 21.863
2.465 -1.355 5.343
4.856 0.000 5.323
3.317 0.000 21.613
3.107 0.000 28.997
2.327 -1.590 12.280
5.099 0.000 12.280
3.926 -1.317 2.936
0.850 -1.556 28.918
4.769 0.000 19.489
2.570 -1.320 19.421
6.682 0.000 2.940
2.250 -1.500 26.562
6.601 0.000 10.197
4.922 0.000 26.544
4.184 -1.597 10.048
4.001 -1.291 16.985
8.165 0.000 0.715
5.974 -1.316 0.660
6.584 0.000 16.864
6.464 0.000 24.311
5.684 -1.593 7.575
8.463 0.000 7.568
4.208 -1.554 24.202
3.903 -1.375 31.270
5.844 -1.280 14.759
8.070 0.000 14.762
6.631 0.000 31.078
```

# 2
Ir | PBE | optimized geometry

Calculated values
* formation energy from the elements: 0.000 eV per atom
* energy relative to the lowest polymorph listed for this composition: 0 meV per atom
* V: 14.55 A^3/atom
* ρ: 21.9 g/cm³

Structure (POSCAR):
```
Ir
1.0
0.000 1.938 1.938
1.938 0.000 1.938
1.938 1.938 0.000
Ir
1
Cartesian
0.000 0.000 0.000
```

# 3
U8FeSe17 | PBE | optimized geometry

Calculated values
* formation energy from the elements: -1.380 eV per atom
* V: 24.82 A^3/atom
* energy with MP2020 corrections: -7.47 eV per atom
* ρ: 8.5 g/cm³

Structure (POSCAR):
```
U8FeSe17
1.0
6.954 -4.370 0.000
6.954 4.370 0.000
-2.113 0.000 10.620
U Fe Se
8 1 17
Cartesian
4.438 2.268 8.483
0.791 0.000 10.160
7.357 2.268 2.137
3.420 0.000 5.147
8.376 0.000 5.473
4.438 -2.268 8.483
11.005 0.000 0.460
7.357 -2.268 2.137
-1.056 0.000 5.310
0.000 0.000 0.000
3.972 2.707 5.601
-0.740 0.000 7.704
5.114 1.683 0.381
2.498 0.000 2.371
2.609 0.000 7.909
7.824 2.707 5.019
6.682 1.683 10.239
5.969 0.000 3.502
5.827 0.000 7.117
5.114 -1.683 0.381
3.972 -2.707 5.601
9.187 0.000 2.710
9.297 0.000 8.249
6.682 -1.683 10.239
12.536 0.000 2.916
7.824 -2.707 5.019
```

# 4
Na5Ti2Nb2Si5PO24 | PBE | optimized geometry

Calculated values
* formation energy from the elements: -3.006 eV per atom
* V: 13.26 A^3/atom
* energy with MP2020 corrections: -7.98 eV per atom
* ρ: 3.1 g/cm³

Structure (POSCAR):
```
Na5Ti2Nb2Si5PO24
1.0
8.916 0.000 0.000
4.457 7.740 0.000
0.023 0.074 22.488
Na Ti Nb Si P O
15 6 6 15 3 72
Cartesian
0.000 0.000 0.000
10.568 2.898 16.971
1.628 2.383 9.516
5.626 5.234 9.533
4.443 2.674 18.874
4.448 2.678 7.625
6.048 4.995 16.973
3.238 0.063 5.748
5.646 0.125 16.972
8.857 5.169 3.812
6.077 0.327 9.523
8.896 5.241 15.010
10.505 7.514 1.949
10.080 2.662 1.953
8.903 0.066 11.410
4.429 2.663 11.036
4.499 2.654 15.502
8.891 5.351 11.880
8.890 5.190 0.517
8.881 0.148 19.322
13.368 7.754 8.010
4.436 2.672 22.100
4.462 2.667 4.328
8.932 5.273 18.461
8.956 5.206 7.149
8.897 0.053 14.614
8.910 0.027 3.402
3.143 4.867 1.961
2.550 0.118 17.010
5.713 5.533 5.778
3.158 0.335 1.986
5.771 4.876 13.224
7.602 7.490 9.521
5.720 0.431 13.230
7.028 2.686 1.960
10.255 7.503 20.773
7.614 2.313 16.990
6.350 0.071 5.777
10.176 2.983 20.768
11.501 5.228 9.559
10.161 2.293 5.768
12.110 5.592 17.023
1.867 2.691 13.244
6.330 5.297 20.761
7.622 2.994 9.529
3.779 6.360 2.147
1.007 1.404 13.375
1.015 1.333 7.073
3.904 6.312 18.282
2.762 2.882 14.505
3.392 3.895 3.268
2.894 2.900 20.885
3.523 3.892 9.644
1.532 0.287 2.142
2.769 2.444 11.981
1.581 0.377 18.283
5.075 6.356 13.387
5.059 6.259 7.090
3.813 4.098 16.820
3.851 4.139 0.699
2.867 2.384 5.609
5.978 7.635 9.356
5.456 6.531 20.596
5.482 6.527 4.491
6.058 7.545 15.708
3.385 1.368 0.733
5.061 4.172 11.909
5.035 4.074 5.620
3.514 1.423 16.826
3.836 1.226 9.650
5.443 3.962 14.558
5.474 4.005 20.889
3.833 1.045 3.314
7.267 5.474 21.972
7.861 6.467 10.766
7.331 5.454 5.926
7.951 6.510 17.145
7.213 5.043 19.480
5.079 1.233 20.897
8.296 6.781 8.194
6.061 2.861 3.282
5.062 1.136 14.564
6.072 2.850 9.623
7.378 5.010 13.048
8.326 6.638 1.833
5.337 1.340 5.625
5.991 2.485 16.831
5.431 1.361 11.906
6.040 2.330 0.720
7.844 3.900 8.264
9.532 6.811 19.441
9.512 6.687 13.068
8.019 3.949 1.845
9.815 6.501 5.909
8.271 3.811 17.152
9.907 6.572 22.068
8.303 3.649 10.730
7.855 1.343 18.274
7.277 0.286 7.093
7.937 1.320 2.153
7.342 0.298 13.383
10.471 5.496 10.779
9.489 3.764 5.911
10.465 5.450 17.143
8.250 1.588 9.347
11.703 7.552 4.436
9.535 3.741 22.069
8.358 1.633 15.706
11.850 7.627 20.574
10.443 5.016 1.850
9.900 3.921 13.065
9.917 3.943 19.438
10.521 4.953 8.236
12.303 6.574 15.715
9.516 1.600 4.429
12.415 6.570 9.353
9.520 1.521 20.576
```